Record 1
Entry from the Materials Project database: a relaxed structure of Rb3LiPb4 (GGA-PBE).

CIF file:
```
data_Rb3LiPb4
_chemical_formula_sum 'Rb12 Li4 Pb16'
_space_group_name_H-M_alt 'C m c m'
_space_group_IT_number 63
_space_group_name_Hall '-C 2c 2'
_cell_length_a 7.5307
_cell_length_b 16.8576
_cell_length_c 10.6014
_cell_angle_alpha 90.00
_cell_angle_beta 90.00
_cell_angle_gamma 90.00
loop_
_atom_site_label
_atom_site_fract_x
_atom_site_fract_y
_atom_site_fract_z
Rb1 0.0000 0.1107 0.0491
Rb2 0.0000 0.2693 0.7500
Li1 0.0000 0.5000 0.0000
Pb1 0.0000 0.3279 0.1031
Pb2 0.2107 0.4594 0.2500
```

Computed properties:
- Formation enthalpy at 0 K: -0.234 eV per atom
- Energy: -2.70 eV/atom

---

Record 2
Entry from the Materials Project database: a relaxed structure of Li2VPb2 (GGA-PBE).

CIF file:
```
data_Li2VPb2
_chemical_formula_sum 'Li4 V2 Pb4'
_space_group_name_H-M_alt 'P 4/m b m'
_space_group_IT_number 127
_space_group_name_Hall '-P 4 2ab'
_cell_length_a 7.5253
_cell_length_b 7.5253
_cell_length_c 3.6083
_cell_angle_alpha 90.00
_cell_angle_beta 90.00
_cell_angle_gamma 90.00
loop_
_atom_site_label
_atom_site_fract_x
_atom_site_fract_y
_atom_site_fract_z
Li1 0.1278 0.3722 0.0000
V1 0.0000 0.0000 0.0000
Pb1 0.1712 0.6712 0.5000
```

Computed properties:
- Formation enthalpy at 0 K: 0.193 eV per atom
- Energy: -3.87 eV/atom

---

Record 3
Entry from the Materials Project database: a relaxed structure of LiPd3 (GGA-PBE).

CIF file:
```
data_LiPd3
_chemical_formula_sum 'Li1 Pd3'
_space_group_name_H-M_alt 'P m -3 m'
_space_group_IT_number 221
_space_group_name_Hall '-P 4 2 3'
_cell_length_a 3.9016
_cell_length_b 3.9016
_cell_length_c 3.9016
_cell_angle_alpha 90.00
_cell_angle_beta 90.00
_cell_angle_gamma 90.00
loop_
_atom_site_label
_atom_site_fract_x
_atom_site_fract_y
_atom_site_fract_z
Li1 0.0000 0.0000 0.0000
Pd1 0.0000 0.5000 0.5000
```

Computed properties:
- Formation enthalpy at 0 K: -0.271 eV per atom
- Energy: -4.63 eV/atom